No. 1
Computed, not measured: Li4Mn5Fe2O12 after structural relaxation at the PBE+U level of DFT.

total magnetization: 29.0 μB per formula unit
symmetry: P2_1, No. 4
calculated formation energy: -2.00 eV/atom

Cell: 5.154 9.219 10.041 Å, 90.00 102.66 90.00°
Sites, in units of the cell vectors:
Li1 0.003 0.000 0.262
Li2 0.239 0.166 0.507
Li3 0.495 0.017 0.742
Li4 0.496 0.167 0.264
Li5 0.504 0.667 0.736
Li6 0.505 0.517 0.258
Li7 0.761 0.666 0.493
Li8 0.997 0.500 0.738
Mn1 0.000 0.333 0.259
Mn2 0.000 0.833 0.741
Mn3 0.241 0.666 0.991
Mn4 0.254 0.509 0.490
Mn5 0.258 0.002 0.007
Mn6 0.487 0.334 0.743
Mn7 0.513 0.834 0.257
Mn8 0.742 0.502 0.993
Mn9 0.746 0.009 0.510
Mn10 0.759 0.166 0.009
Fe1 0.235 0.831 0.485
Fe2 0.244 0.331 0.995
Fe3 0.756 0.831 0.005
Fe4 0.765 0.331 0.515
O1 0.108 0.182 0.137
O2 0.114 0.973 0.621
O3 0.118 0.507 0.094
O4 0.131 0.346 0.625
O5 0.148 0.667 0.601
O6 0.161 0.851 0.122
O7 0.348 0.820 0.873
O8 0.357 0.356 0.372
O9 0.383 0.998 0.394
O10 0.391 0.490 0.868
O11 0.395 0.156 0.902
O12 0.398 0.688 0.374
O13 0.602 0.188 0.626
O14 0.605 0.656 0.098
O15 0.609 0.990 0.132
O16 0.617 0.498 0.606
O17 0.643 0.856 0.628
O18 0.652 0.320 0.127
O19 0.839 0.351 0.878
O20 0.852 0.167 0.399
O21 0.869 0.846 0.375
O22 0.882 0.007 0.906
O23 0.886 0.473 0.379
O24 0.892 0.682 0.863

No. 2
Computed, not measured: ZnMo2P2O9 after structural relaxation at the PBE+U level of DFT.

total magnetization: 0.0 μB per formula unit
symmetry: Pnma, No. 62
calculated formation energy: -2.26 eV/atom

Cell: 14.806 6.653 7.539 Å, 90.00 90.00 90.00°
Sites, in units of the cell vectors:
Zn1 0.234 0.250 0.043
Zn2 0.266 0.750 0.543
Zn3 0.734 0.250 0.457
Zn4 0.766 0.750 0.957
Mo1 0.000 0.000 0.000
Mo2 0.000 0.500 0.000
Mo3 0.123 0.250 0.633
Mo4 0.377 0.750 0.133
Mo5 0.500 0.000 0.500
Mo6 0.500 0.500 0.500
Mo7 0.623 0.250 0.867
Mo8 0.877 0.750 0.367
P1 0.077 0.750 0.628
P2 0.190 0.750 0.105
P3 0.310 0.250 0.605
P4 0.423 0.250 0.128
P5 0.577 0.750 0.872
P6 0.690 0.750 0.395
P7 0.810 0.250 0.895
P8 0.923 0.250 0.372
O1 0.007 0.750 0.483
O2 0.029 0.750 0.816
O3 0.063 0.250 0.882
O4 0.134 0.552 0.105
O5 0.134 0.948 0.105
O6 0.144 0.571 0.615
O7 0.144 0.929 0.615
O8 0.240 0.250 0.452
O9 0.249 0.250 0.778
O10 0.251 0.750 0.278
O11 0.260 0.750 0.952
O12 0.356 0.071 0.115
O13 0.356 0.429 0.115
O14 0.366 0.052 0.605
O15 0.366 0.448 0.605
O16 0.437 0.750 0.382
O17 0.471 0.250 0.316
O18 0.493 0.250 0.983
O19 0.507 0.750 0.017
O20 0.529 0.750 0.684
O21 0.563 0.250 0.618
O22 0.634 0.552 0.395
O23 0.634 0.948 0.395
O24 0.644 0.571 0.885
O25 0.644 0.929 0.885
O26 0.740 0.250 0.048
O27 0.749 0.250 0.722
O28 0.751 0.750 0.222
O29 0.760 0.750 0.548
O30 0.856 0.071 0.385
O31 0.856 0.429 0.385
O32 0.866 0.052 0.895
O33 0.866 0.448 0.895
O34 0.937 0.750 0.118
O35 0.971 0.250 0.184
O36 0.993 0.250 0.517

No. 3
Computed, not measured: Li4MnV3P8O28 after structural relaxation at the PBE+U level of DFT.

total magnetization: 10.0 μB per formula unit
symmetry: P1, No. 1
calculated formation energy: -2.69 eV/atom
energy above the most stable polymorph in this dataset: 0.7 meV per atom

Cell: 4.872 8.287 26.679 Å, 90.43 91.43 90.41°
Sites, in units of the cell vectors:
Li1 0.000 0.000 0.000
Li2 0.000 0.001 0.500
Li3 0.177 0.499 0.413
Li4 0.179 0.498 0.912
Li5 0.500 0.000 0.250
Li6 0.501 0.001 0.750
Li7 0.677 0.499 0.662
Li8 0.678 0.499 0.163
Mn1 0.489 0.362 0.764
Mn2 0.990 0.362 0.514
V1 0.190 0.861 0.899
V2 0.191 0.863 0.399
V3 0.488 0.362 0.264
V4 0.691 0.862 0.149
V5 0.691 0.862 0.649
V6 0.988 0.362 0.013
P1 0.009 0.577 0.809
P2 0.010 0.578 0.310
P3 0.170 0.077 0.103
P4 0.172 0.074 0.603
P5 0.201 0.680 0.212
P6 0.201 0.681 0.711
P7 0.479 0.181 0.950
P8 0.481 0.184 0.451
P9 0.509 0.577 0.559
P10 0.510 0.577 0.060
P11 0.671 0.077 0.353
P12 0.672 0.075 0.853
P13 0.700 0.680 0.962
P14 0.701 0.681 0.461
P15 0.978 0.182 0.201
P16 0.981 0.184 0.701
O1 0.027 0.666 0.859
O2 0.030 0.666 0.360
O3 0.059 0.209 0.143
O4 0.062 0.208 0.643
O5 0.121 0.706 0.769
O6 0.122 0.709 0.270
O7 0.150 0.164 0.053
O8 0.157 0.157 0.553
O9 0.193 0.427 0.811
O10 0.195 0.428 0.310
O11 0.209 0.537 0.545
O12 0.215 0.537 0.044
O13 0.245 0.184 0.232
O14 0.247 0.185 0.733
O15 0.286 0.323 0.960
O16 0.288 0.326 0.461
O17 0.334 0.018 0.955
O18 0.336 0.020 0.455
O19 0.341 0.519 0.705
O20 0.345 0.518 0.208
O21 0.393 0.825 0.702
O22 0.395 0.823 0.202
O23 0.430 0.687 0.430
O24 0.433 0.683 0.930
O25 0.464 0.034 0.620
O26 0.464 0.037 0.118
O27 0.482 0.928 0.352
O28 0.483 0.925 0.853
O29 0.528 0.668 0.609
O30 0.529 0.665 0.110
O31 0.560 0.208 0.893
O32 0.561 0.209 0.393
O33 0.622 0.706 0.519
O34 0.622 0.708 0.020
O35 0.650 0.164 0.303
O36 0.657 0.158 0.802
O37 0.693 0.428 0.561
O38 0.695 0.428 0.060
O39 0.709 0.537 0.795
O40 0.716 0.538 0.294
O41 0.745 0.184 0.982
O42 0.747 0.186 0.483
O43 0.786 0.323 0.211
O44 0.788 0.326 0.711
O45 0.834 0.018 0.205
O46 0.836 0.020 0.705
O47 0.842 0.519 0.455
O48 0.844 0.518 0.958
O49 0.893 0.826 0.452
O50 0.895 0.823 0.952
O51 0.930 0.687 0.680
O52 0.934 0.683 0.180
O53 0.964 0.037 0.368
O54 0.965 0.035 0.870
O55 0.982 0.925 0.603
O56 0.983 0.927 0.102